Density functional theory data (r²SCAN) for a relaxed Er4CdIr crystal.

* calculated density: 10.70 g cm⁻³
* calculated volume: 25.2 Å³ per atom
* calculated formation energy: -0.601 eV/atom
* uncorrected energy: -35.2957 eV/atom

CIF file:
```
data_Er4CdIr
_symmetry_space_group_name_H-M 'F -4 3 m'
_symmetry_Int_Tables_number 216
_symmetry_space_group_name_Hall 'F -4 2 3'
_cell_length_a 13.420
_cell_length_b 13.420
_cell_length_c 13.420
_cell_angle_alpha 90.00
_cell_angle_beta 90.00
_cell_angle_gamma 90.00
loop_
_atom_site_label
_atom_site_type_symbol
_atom_site_fract_x
_atom_site_fract_y
_atom_site_fract_z
Er1 Er 0.000 0.000 0.188
Er2 Er 0.059 0.250 0.250
Er3 Er 0.099 0.099 0.599
Cd1 Cd 0.169 0.169 0.831
Ir1 Ir 0.109 0.109 0.391
```